# Li4TiCo3O8 (GGA+U, optimized geometry)
# Polymorph energy (0 for the lowest one) ... 0.8 meV per atom
# Energy of formation from the pure elements ... -2.08 eV per atom
# Energy ... -198.72 eV per cell
data_Li4TiCo3O8
_symmetry_space_group_name_H-M 'P -1'
_symmetry_Int_Tables_number 2
_symmetry_space_group_name_Hall '-P 1'
_cell_length_a 5.923
_cell_length_b 5.950
_cell_length_c 8.343
_cell_angle_alpha 90.47
_cell_angle_beta 90.55
_cell_angle_gamma 92.62
loop_
_atom_site_label
_atom_site_fract_x
_atom_site_fract_y
_atom_site_fract_z
Li1 0.000 0.000 0.000
Li2 0.000 0.500 0.500
Li3 0.248 0.253 0.252
Li4 0.251 0.753 0.746
Li5 0.500 0.000 0.000
Li6 0.500 0.500 0.500
Ti1 0.246 0.262 0.758
Co1 0.000 0.000 0.500
Co2 0.000 0.500 0.000
Co3 0.256 0.753 0.251
Co4 0.500 0.000 0.500
Co5 0.500 0.500 0.000
O1 0.003 0.527 0.255
O2 0.011 0.003 0.733
O3 0.241 0.228 0.509
O4 0.244 0.245 0.986
O5 0.257 0.736 0.024
O6 0.267 0.762 0.482
O7 0.475 0.495 0.744
O8 0.492 0.026 0.746

***

# LiV3OF11 (GGA+U, optimized geometry)
# Polymorph energy (0 for the lowest one) ... 9.6 meV per atom
# Energy of formation from the pure elements ... -2.97 eV per atom
# Energy ... -183.64 eV per cell
data_LiV3OF11
_symmetry_space_group_name_H-M 'P 1'
_symmetry_Int_Tables_number 1
_symmetry_space_group_name_Hall 'P 1'
_cell_length_a 5.300
_cell_length_b 5.450
_cell_length_c 15.305
_cell_angle_alpha 99.92
_cell_angle_beta 90.27
_cell_angle_gamma 90.38
loop_
_atom_site_label
_atom_site_fract_x
_atom_site_fract_y
_atom_site_fract_z
Li1 0.000 0.000 0.000
Li2 0.493 0.572 0.015
V1 0.295 0.873 0.177
V2 0.306 0.531 0.511
V3 0.313 0.194 0.836
V4 0.791 0.660 0.833
V5 0.803 0.371 0.186
V6 0.806 0.031 0.510
O1 0.235 0.822 0.066
O2 0.595 0.401 0.826
F1 0.007 0.339 0.534
F2 0.023 0.991 0.870
F3 0.100 0.490 0.864
F4 0.102 0.187 0.205
F5 0.105 0.838 0.533
F6 0.212 0.153 0.725
F7 0.221 0.490 0.397
F8 0.373 0.245 0.959
F9 0.392 0.572 0.624
F10 0.403 0.899 0.291
F11 0.507 0.224 0.488
F12 0.512 0.895 0.818
F13 0.517 0.552 0.148
F14 0.606 0.723 0.487
F15 0.615 0.065 0.156
F16 0.710 0.407 0.297
F17 0.725 0.073 0.624
F18 0.737 0.755 0.961
F19 0.887 0.318 0.066
F20 0.888 0.992 0.397
F21 0.910 0.673 0.725
F22 0.997 0.673 0.205

***

# Ca5Mn2Ni2O12 (GGA+U, optimized geometry)
# Energy of formation from the pure elements ... -2.29 eV per atom
# Energy ... -261.31 eV per cell
data_Ca5Mn2Ni2O12
_symmetry_space_group_name_H-M 'C 1 2 1'
_symmetry_Int_Tables_number 5
_symmetry_space_group_name_Hall 'C 2y'
_cell_length_a 8.758
_cell_length_b 9.291
_cell_length_c 6.380
_cell_angle_alpha 90.00
_cell_angle_beta 94.40
_cell_angle_gamma 90.00
loop_
_atom_site_label
_atom_site_fract_x
_atom_site_fract_y
_atom_site_fract_z
Ca1 0.000 0.000 0.000
Ca2 0.182 0.464 0.635
Ca3 0.193 0.320 0.143
Mn1 0.248 0.642 0.248
Ni1 0.000 0.142 0.500
Ni2 0.000 0.640 0.000
O1 0.061 0.247 0.778
O2 0.073 0.526 0.281
O3 0.117 0.987 0.671
O4 0.135 0.805 0.150
O5 0.213 0.193 0.459
O6 0.235 0.581 0.959

***

# Li7V4O11F (GGA+U, optimized geometry)
# Polymorph energy (0 for the lowest one) ... 21.9 meV per atom
# Energy of formation from the pure elements ... -2.49 eV per atom
# Energy ... -148.50 eV per cell
data_Li7V4O11F
_symmetry_space_group_name_H-M 'P 1'
_symmetry_Int_Tables_number 1
_symmetry_space_group_name_Hall 'P 1'
_cell_length_a 5.030
_cell_length_b 5.072
_cell_length_c 9.404
_cell_angle_alpha 93.93
_cell_angle_beta 93.09
_cell_angle_gamma 116.01
loop_
_atom_site_label
_atom_site_fract_x
_atom_site_fract_y
_atom_site_fract_z
Li1 0.000 0.000 0.000
Li2 0.079 0.389 0.246
Li3 0.162 0.793 0.496
Li4 0.248 0.223 0.751
Li5 0.508 0.502 0.501
Li6 0.662 0.281 0.987
Li7 0.771 0.724 0.248
V1 0.350 0.653 0.996
V2 0.436 0.089 0.246
V3 0.853 0.130 0.496
V4 0.928 0.602 0.758
O1 0.018 0.344 0.888
O2 0.123 0.726 0.135
O3 0.125 0.467 0.617
O4 0.135 0.107 0.376
O5 0.262 0.901 0.869
O6 0.396 0.354 0.130
O7 0.506 0.837 0.389
O8 0.636 0.595 0.878
O9 0.686 0.000 0.119
O10 0.776 0.399 0.369
O11 0.888 0.857 0.623
F1 0.564 0.228 0.631

***

| no. | total energy after the MP2020 corrections (eV/atom) |
| --- | --- |
| 1 | -6.861 |
| 2 | -6.418 |
| 3 | -7.015 |
| 4 | -7.101 |